[1]
Material: Cs
Method: DFT, r2SCAN
State: relaxed

Cell lengths 5.5659, 5.5659, 18.5216 Å; angles 90.00, 90.00, 120.00 degrees
Space group P6_3/mmc (No. 194)
Inequivalent atoms, fractional coordinates:
Cs 0.0000 0.0000 0.0000
Cs 0.3333 0.6667 0.2500

total magnetization = 0.0 μB per formula unit
E_form = 2 kJ/mol of atoms
offset from the most stable computed form = 20 meV/atom


[2]
Material: KMnF3
Method: DFT, r2SCAN
State: relaxed

Cell lengths 5.909, 5.909, 8.366 Å; angles 90.00, 90.00, 90.00 degrees
Space group I4/mcm (No. 140)
Inequivalent atoms, fractional coordinates:
K 0.000 0.500 0.250
Mn 0.000 0.000 0.000
F 0.000 0.000 0.250
F 0.240 0.260 0.000

total magnetization = 5.0 μB per formula unit
E_form = -290 kJ/mol of atoms


[3]
Material: VPt
Method: DFT, r2SCAN
State: relaxed

Cell lengths 4.393, 2.682, 4.772 Å; angles 90.00, 90.00, 90.00 degrees
Space group Pmma (No. 51)
Inequivalent atoms, fractional coordinates:
V 0.250 0.000 0.171
Pt 0.250 0.500 0.680

total magnetization = 0.0 μB per formula unit
E_form = -58 kJ/mol of atoms